A relaxed Ni43Ge3B12 crystal, computed with PBE.

Values from the calculation:
Electronic total energy   -357.70 eV per cell
Total magnetization   0.016 μB/atom
ΔE_f   -0.261 eV/atom
Space group   No. 160

The structure in POSCAR format:
```
Ni43Ge3B12
1.0
12.271 -3.699 0.000
12.271 3.699 0.000
11.155 0.000 6.310
Ni B Ge
43 12 3
Direct
0.690 0.690 0.690 Ni
0.045 0.573 0.573 Ni
0.500 0.163 0.837 Ni
0.662 0.002 0.337 Ni
0.809 0.809 0.809 Ni
0.309 0.309 0.309 Ni
0.573 0.573 0.045 Ni
0.191 0.191 0.191 Ni
0.169 0.829 0.169 Ni
0.429 0.429 0.952 Ni
0.072 0.547 0.072 Ni
0.337 0.002 0.662 Ni
0.832 0.832 0.168 Ni
0.163 0.837 0.500 Ni
0.000 0.000 0.000 Ni
0.332 0.332 0.666 Ni
0.332 0.666 0.332 Ni
0.929 0.452 0.929 Ni
0.929 0.929 0.452 Ni
0.375 0.375 0.375 Ni
0.169 0.169 0.829 Ni
0.952 0.429 0.429 Ni
0.666 0.332 0.332 Ni
0.573 0.045 0.573 Ni
0.332 0.668 0.668 Ni
0.500 0.500 0.500 Ni
0.547 0.072 0.072 Ni
0.452 0.929 0.929 Ni
0.837 0.163 0.500 Ni
0.072 0.072 0.547 Ni
0.837 0.500 0.163 Ni
0.662 0.337 0.002 Ni
0.500 0.837 0.163 Ni
0.829 0.169 0.169 Ni
0.002 0.662 0.337 Ni
0.668 0.668 0.332 Ni
0.668 0.332 0.668 Ni
0.832 0.168 0.832 Ni
0.163 0.500 0.837 Ni
0.168 0.832 0.832 Ni
0.337 0.662 0.002 Ni
0.002 0.337 0.662 Ni
0.429 0.952 0.429 Ni
0.363 0.910 0.363 B
0.137 0.137 0.589 B
0.863 0.411 0.863 B
0.636 0.636 0.090 B
0.363 0.363 0.910 B
0.137 0.589 0.137 B
0.589 0.137 0.137 B
0.411 0.863 0.863 B
0.863 0.863 0.411 B
0.910 0.363 0.363 B
0.090 0.636 0.636 B
0.636 0.090 0.636 B
0.625 0.625 0.625 Ge
0.125 0.125 0.125 Ge
0.875 0.875 0.875 Ge
```